Run w
Computed, not measured: crystalline LiCo4O8 at its relaxed geometry at the GGA+U level of DFT.

CIF file:
```
data_LiCo4O8
_chemical_formula_sum 'Li2 Co8 O16'
_cell_length_a 5.619
_cell_length_b 5.637
_cell_length_c 10.538
_cell_angle_alpha 75.10
_cell_angle_beta 74.77
_cell_angle_gamma 60.35
_space_group_name_H-M_alt 'P -1'
_space_group_IT_number 2
loop_
_space_group_symop_operation_xyz
'x,y,z'
'-x,-y,-z'
loop_
_atom_site_label
_atom_site_type_symbol
_atom_site_fract_x
_atom_site_fract_y
_atom_site_fract_z
_atom_site_occupancy
Li1 Li 0.247 0.250 0.250 1
Co1 Co 0.000 0.000 0.000 1
Co2 Co 0.000 0.000 0.500 1
Co3 Co 0.000 0.500 0.000 1
Co4 Co 0.000 0.500 0.500 1
Co5 Co 0.500 0.000 0.000 1
Co6 Co 0.500 0.000 0.500 1
Co7 Co 0.500 0.500 0.000 1
Co8 Co 0.500 0.500 0.500 1
O1 O 0.133 0.138 0.097 1
O2 O 0.133 0.632 0.097 1
O3 O 0.134 0.640 0.596 1
O4 O 0.137 0.133 0.594 1
O5 O 0.364 0.367 0.905 1
O6 O 0.365 0.866 0.402 1
O7 O 0.366 0.860 0.904 1
O8 O 0.368 0.361 0.404 1
```

Results
- calculated density (g/cm3) = 4.450

---

Run x
Computed, not measured: crystalline LiCo4O8 at its relaxed geometry at the GGA+U level of DFT.

CIF file:
```
data_LiCo4O8
_chemical_formula_sum 'Li2 Co8 O16'
_cell_length_a 10.010
_cell_length_b 5.747
_cell_length_c 5.292
_cell_angle_alpha 90.00
_cell_angle_beta 108.22
_cell_angle_gamma 90.00
_space_group_name_H-M_alt 'C 1 2/m 1'
_space_group_IT_number 12
loop_
_space_group_symop_operation_xyz
'x,y,z'
'-x,-y,-z'
'-x,y,-z'
'x,-y,z'
'x+1/2,y+1/2,z'
'-x+1/2,-y+1/2,-z'
'-x+1/2,y+1/2,-z'
'x+1/2,-y+1/2,z'
loop_
_atom_site_label
_atom_site_type_symbol
_atom_site_fract_x
_atom_site_fract_y
_atom_site_fract_z
_atom_site_occupancy
Li1 Li 0.000 0.000 0.000 1
Co1 Co 0.000 0.251 0.500 1
Co2 Co 0.246 0.500 0.483 1
O1 O 0.108 0.000 0.704 1
O2 O 0.111 0.500 0.686 1
O3 O 0.125 0.238 0.303 1
```

Results
- calculated density (g/cm3) = 4.257
- size of the total moment (μB per cell) = 17.999

---

Energy comparison, zero being the most stable, in kJ/mol of atoms: run w 0.0; run x 13.9.

---

Run w
Computed, not measured: crystalline LiVP3O9 at its relaxed geometry at the GGA+U level of DFT.

CIF file:
```
data_LiVP3O9
_chemical_formula_sum 'Li4 V4 P12 O36'
_cell_length_a 8.571
_cell_length_b 8.613
_cell_length_c 9.023
_cell_angle_alpha 90.00
_cell_angle_beta 90.00
_cell_angle_gamma 90.00
_space_group_name_H-M_alt 'P 21 21 21'
_space_group_IT_number 19
loop_
_space_group_symop_operation_xyz
'x,y,z'
'-x+1/2,-y,z+1/2'
'x+1/2,-y+1/2,-z'
'-x,y+1/2,-z+1/2'
loop_
_atom_site_label
_atom_site_type_symbol
_atom_site_fract_x
_atom_site_fract_y
_atom_site_fract_z
_atom_site_occupancy
Li1 Li 0.106 0.120 0.088 1
V1 V 0.119 0.903 0.360 1
P1 P 0.061 0.051 0.682 1
P2 P 0.067 0.279 0.432 1
P3 P 0.226 0.441 0.942 1
O1 O 0.021 0.209 0.592 1
O2 O 0.062 0.880 0.125 1
O3 O 0.113 0.480 0.801 1
O4 O 0.122 0.091 0.833 1
O5 O 0.122 0.152 0.331 1
O6 O 0.128 0.380 0.068 1
O7 O 0.139 0.656 0.390 1
O8 O 0.160 0.943 0.590 1
O9 O 0.211 0.389 0.484 1
```

Results
- calculated density (g/cm3) = 2.940
- size of the total moment (μB per cell) = 12.002

---

Run x
Computed, not measured: crystalline LiVP3O9 at its relaxed geometry at the GGA+U level of DFT.

CIF file:
```
data_LiVP3O9
_chemical_formula_sum 'Li4 V4 P12 O36'
_cell_length_a 9.242
_cell_length_b 7.369
_cell_length_c 12.066
_cell_angle_alpha 90.00
_cell_angle_beta 90.00
_cell_angle_gamma 90.00
_space_group_name_H-M_alt 'P n m a'
_space_group_IT_number 62
loop_
_space_group_symop_operation_xyz
'x,y,z'
'-x,-y,-z'
'-x+1/2,-y,z+1/2'
'x+1/2,y,-z+1/2'
'x+1/2,-y+1/2,-z+1/2'
'-x+1/2,y+1/2,z+1/2'
'-x,y+1/2,-z'
'x,-y+1/2,z'
loop_
_atom_site_label
_atom_site_type_symbol
_atom_site_fract_x
_atom_site_fract_y
_atom_site_fract_z
_atom_site_occupancy
Li1 Li 0.032 0.250 0.032 1
V1 V 0.019 0.750 0.210 1
P1 P 0.195 0.250 0.542 1
P2 P 0.249 0.047 0.348 1
O1 O 0.098 0.250 0.639 1
O2 O 0.116 0.056 0.882 1
O3 O 0.142 0.750 0.057 1
O4 O 0.151 0.522 0.260 1
O5 O 0.155 0.081 0.461 1
O6 O 0.196 0.750 0.814 1
```

Results
- calculated density (g/cm3) = 2.383
- size of the total moment (μB per cell) = 12.000

---

Energy comparison, zero being the most stable, in kJ/mol of atoms: run w 0.0; run x 4.8.

---

Run w
Computed, not measured: crystalline LiVP2H2O8 at its relaxed geometry at the GGA+U level of DFT.

CIF file:
```
data_LiVP2H2O8
_chemical_formula_sum 'Li2 V2 P4 H4 O16'
_cell_length_a 6.936
_cell_length_b 7.966
_cell_length_c 5.385
_cell_angle_alpha 90.00
_cell_angle_beta 90.00
_cell_angle_gamma 90.00
_space_group_name_H-M_alt 'P 21 21 2'
_space_group_IT_number 18
loop_
_space_group_symop_operation_xyz
'x,y,z'
'-x,-y,z'
'x+1/2,-y+1/2,-z'
'-x+1/2,y+1/2,-z'
loop_
_atom_site_label
_atom_site_type_symbol
_atom_site_fract_x
_atom_site_fract_y
_atom_site_fract_z
_atom_site_occupancy
Li1 Li 0.000 0.000 0.083 1
V1 V 0.000 0.500 0.758 1
P1 P 0.218 0.654 0.263 1
H1 H 0.014 0.213 0.437 1
O1 O 0.045 0.786 0.265 1
O2 O 0.086 0.246 0.727 1
O3 O 0.199 0.545 0.495 1
O4 O 0.207 0.552 0.020 1
```

Results
- calculated density (g/cm3) = 2.789
- size of the total moment (μB per cell) = 3.998

---

Run x
Computed, not measured: crystalline LiVP2H2O8 at its relaxed geometry at the GGA+U level of DFT.

CIF file:
```
data_LiVP2H2O8
_chemical_formula_sum 'Li12 V12 P24 H24 O96'
_cell_length_a 13.962
_cell_length_b 8.056
_cell_length_c 18.538
_cell_angle_alpha 90.00
_cell_angle_beta 104.41
_cell_angle_gamma 90.00
_space_group_name_H-M_alt 'C 1 2/c 1'
_space_group_IT_number 15
loop_
_space_group_symop_operation_xyz
'x,y,z'
'-x,-y,-z'
'-x,y,-z+1/2'
'x,-y,z+1/2'
'x+1/2,y+1/2,z'
'-x+1/2,-y+1/2,-z'
'-x+1/2,y+1/2,-z+1/2'
'x+1/2,-y+1/2,z+1/2'
loop_
_atom_site_label
_atom_site_type_symbol
_atom_site_fract_x
_atom_site_fract_y
_atom_site_fract_z
_atom_site_occupancy
Li1 Li 0.000 0.245 0.250 1
Li2 Li 0.053 0.251 0.416 1
V1 V 0.162 0.251 0.740 1
V2 V 0.250 0.250 0.000 1
P1 P 0.051 0.133 0.862 1
P2 P 0.160 0.419 0.140 1
P3 P 0.219 0.466 0.362 1
H1 H 0.021 0.453 0.641 1
H2 H 0.083 0.016 0.140 1
H3 H 0.213 0.192 0.362 1
O1 O 0.006 0.041 0.131 1
O2 O 0.025 0.265 0.667 1
O3 O 0.041 0.427 0.132 1
O4 O 0.112 0.084 0.804 1
O5 O 0.114 0.175 0.938 1
O6 O 0.138 0.441 0.805 1
O7 O 0.168 0.286 0.370 1
O8 O 0.174 0.382 0.063 1
O9 O 0.188 0.071 0.666 1
O10 O 0.195 0.281 0.197 1
O11 O 0.202 0.411 0.666 1
O12 O 0.246 0.460 0.939 1
```

Results
- calculated density (g/cm3) = 2.465
- size of the total moment (μB per cell) = 24.006

---

Energy comparison, zero being the most stable, in kJ/mol of atoms: run w 0.0; run x 5.1.

---

Run w
Computed, not measured: crystalline Li4Co3O7 at its relaxed geometry at the GGA+U level of DFT.

CIF file:
```
data_Li4Co3O7
_chemical_formula_sum 'Li16 Co12 O28'
_cell_length_a 21.221
_cell_length_b 2.941
_cell_length_c 8.153
_cell_angle_alpha 90.00
_cell_angle_beta 101.84
_cell_angle_gamma 90.00
_space_group_name_H-M_alt 'C 1 2/m 1'
_space_group_IT_number 12
loop_
_space_group_symop_operation_xyz
'x,y,z'
'-x,-y,-z'
'-x,y,-z'
'x,-y,z'
'x+1/2,y+1/2,z'
'-x+1/2,-y+1/2,-z'
'-x+1/2,y+1/2,-z'
'x+1/2,-y+1/2,z'
loop_
_atom_site_label
_atom_site_type_symbol
_atom_site_fract_x
_atom_site_fract_y
_atom_site_fract_z
_atom_site_occupancy
Li1 Li 0.000 0.000 0.000 1
Li2 Li 0.000 0.000 0.500 1
Li3 Li 0.069 0.500 0.297 1
Li4 Li 0.142 0.000 0.575 1
Li5 Li 0.214 0.500 0.853 1
Co1 Co 0.070 0.500 0.773 1
Co2 Co 0.143 0.000 0.072 1
Co3 Co 0.211 0.500 0.361 1
O1 O 0.006 0.000 0.754 1
O2 O 0.072 0.500 0.561 1
O3 O 0.075 0.500 0.015 1
O4 O 0.138 0.000 0.823 1
O5 O 0.143 0.000 0.320 1
O6 O 0.211 0.500 0.118 1
O7 O 0.218 0.500 0.600 1
```

Results
- calculated density (g/cm3) = 4.222
- size of the total moment (μB per cell) = 3.999

---

Run x
Computed, not measured: crystalline Li4Co3O7 at its relaxed geometry at the GGA+U level of DFT.

CIF file:
```
data_Li4Co3O7
_chemical_formula_sum 'Li16 Co12 O28'
_cell_length_a 12.378
_cell_length_b 3.020
_cell_length_c 14.287
_cell_angle_alpha 90.00
_cell_angle_beta 108.67
_cell_angle_gamma 90.00
_space_group_name_H-M_alt 'C 1 2/m 1'
_space_group_IT_number 12
loop_
_space_group_symop_operation_xyz
'x,y,z'
'-x,-y,-z'
'-x,y,-z'
'x,-y,z'
'x+1/2,y+1/2,z'
'-x+1/2,-y+1/2,-z'
'-x+1/2,y+1/2,-z'
'x+1/2,-y+1/2,z'
loop_
_atom_site_label
_atom_site_type_symbol
_atom_site_fract_x
_atom_site_fract_y
_atom_site_fract_z
_atom_site_occupancy
Li1 Li 0.000 0.000 0.000 1
Li2 Li 0.000 0.000 0.500 1
Li3 Li 0.072 0.500 0.356 1
Li4 Li 0.140 0.000 0.214 1
Li5 Li 0.212 0.500 0.068 1
Co1 Co 0.070 0.500 0.865 1
Co2 Co 0.141 0.000 0.716 1
Co3 Co 0.214 0.500 0.572 1
O1 O 0.008 0.000 0.753 1
O2 O 0.059 0.500 0.112 1
O3 O 0.079 0.500 0.610 1
O4 O 0.137 0.000 0.956 1
O5 O 0.152 0.000 0.467 1
O6 O 0.201 0.500 0.821 1
O7 O 0.224 0.500 0.323 1
```

Results
- calculated density (g/cm3) = 4.156
- size of the total moment (μB per cell) = 5.080

---

Run y
Computed, not measured: crystalline Li4Co3O7 at its relaxed geometry at the GGA+U level of DFT.

CIF file:
```
data_Li4Co3O7
_chemical_formula_sum 'Li16 Co12 O28'
_cell_length_a 9.768
_cell_length_b 2.887
_cell_length_c 17.236
_cell_angle_alpha 90.00
_cell_angle_beta 95.51
_cell_angle_gamma 90.00
_space_group_name_H-M_alt 'C 1 2/m 1'
_space_group_IT_number 12
loop_
_space_group_symop_operation_xyz
'x,y,z'
'-x,-y,-z'
'-x,y,-z'
'x,-y,z'
'x+1/2,y+1/2,z'
'-x+1/2,-y+1/2,-z'
'-x+1/2,y+1/2,-z'
'x+1/2,-y+1/2,z'
loop_
_atom_site_label
_atom_site_type_symbol
_atom_site_fract_x
_atom_site_fract_y
_atom_site_fract_z
_atom_site_occupancy
Li1 Li 0.000 0.000 0.000 1
Li2 Li 0.000 0.000 0.500 1
Li3 Li 0.071 0.500 0.143 1
Li4 Li 0.144 0.000 0.287 1
Li5 Li 0.211 0.500 0.431 1
Co1 Co 0.070 0.500 0.635 1
Co2 Co 0.144 0.000 0.787 1
Co3 Co 0.216 0.500 0.929 1
O1 O 0.016 0.500 0.750 1
O2 O 0.061 0.000 0.389 1
O3 O 0.091 0.000 0.894 1
O4 O 0.143 0.500 0.545 1
O5 O 0.159 0.500 0.035 1
O6 O 0.201 0.000 0.685 1
O7 O 0.226 0.000 0.175 1
```

Results
- calculated density (g/cm3) = 4.346
- size of the total moment (μB per cell) = 0.049

---

Energy comparison, zero being the most stable, in kJ/mol of atoms: run w 2.3; run x 5.1; run y 0.0.